# Rb3HoO3 | the Materials Project | meta-GGA r2SCAN | optimized geometry
# ΔE_f = -2.124 eV per atom
# M_tot = 0.0 μB/f.u.
# Calculated total energy = -107.5 eV/f.u.
# Crystal system = monoclinic
data_Rb3HoO3
_chemical_formula_sum 'Rb12 Ho4 O12'
_cell_length_a 7.6452
_cell_length_b 12.2108
_cell_length_c 7.1928
_cell_angle_alpha 90.00
_cell_angle_beta 99.17
_cell_angle_gamma 90.00
_space_group_name_H-M_alt 'C 1 2/m 1'
_space_group_IT_number 12
_space_group_name_Hall '-C 2y'
loop_
_atom_site_label
_atom_site_type_symbol
_atom_site_fract_x
_atom_site_fract_y
_atom_site_fract_z
Rb1 Rb 0.0000 0.2046 0.0000
Rb2 Rb 0.0000 0.2589 0.5000
Rb3 Rb 0.1393 0.5000 0.8611
Ho1 Ho 0.1784 0.0000 0.6487
O1 O 0.1023 0.0000 0.3438
O2 O 0.1923 0.3599 0.2313

---

# NaCrF6 | the Materials Project | meta-GGA r2SCAN | optimized geometry
# ΔE_f = -2.590 eV per atom
# M_tot = 1.0 μB/f.u.
# Calculated total energy = -58.1 eV/f.u.
# Crystal system = orthorhombic
data_NaCrF6
_chemical_formula_sum 'Na4 Cr4 F24'
_cell_length_a 9.3349
_cell_length_b 5.8041
_cell_length_c 7.5654
_cell_angle_alpha 90.00
_cell_angle_beta 90.00
_cell_angle_gamma 90.00
_space_group_name_H-M_alt 'P n m a'
_space_group_IT_number 62
_space_group_name_Hall '-P 2ac 2n'
loop_
_atom_site_label
_atom_site_type_symbol
_atom_site_fract_x
_atom_site_fract_y
_atom_site_fract_z
Na1 Na 0.0015 0.2500 0.1651
Cr1 Cr 0.2289 0.2500 0.6155
F1 F 0.1053 0.0315 0.6729
F2 F 0.1417 0.5347 0.0486
F3 F 0.1634 0.2500 0.3966
F4 F 0.1951 0.7500 0.3231

---

# TaMn2B4 | the Materials Project | meta-GGA r2SCAN | optimized geometry
# ΔE_f = -0.624 eV per atom
# M_tot = 4.7 μB/f.u.
# Calculated total energy = -111.7 eV/f.u.
# Crystal system = orthorhombic
data_TaMn2B4
_chemical_formula_sum 'Ta2 Mn4 B8'
_cell_length_a 3.0238
_cell_length_b 3.1650
_cell_length_c 12.9369
_cell_angle_alpha 90.00
_cell_angle_beta 90.00
_cell_angle_gamma 90.00
_space_group_name_H-M_alt 'I m m m'
_space_group_IT_number 71
_space_group_name_Hall '-I 2 2'
loop_
_atom_site_label
_atom_site_type_symbol
_atom_site_fract_x
_atom_site_fract_y
_atom_site_fract_z
Ta1 Ta 0.0000 0.0000 0.0000
Mn1 Mn 0.0000 0.5000 0.3123
B1 B 0.0000 0.0000 0.4289
B2 B 0.0000 0.5000 0.1450

---

# Sc | the Materials Project | meta-GGA r2SCAN | optimized geometry
# ΔE_f = 0.101 eV per atom
# M_tot = 0.0 μB/f.u.
# Calculated total energy = -11.3 eV/f.u.
# Crystal system = cubic
data_Sc
_chemical_formula_sum 'Sc4'
_cell_length_a 4.6537
_cell_length_b 4.6537
_cell_length_c 4.6537
_cell_angle_alpha 90.00
_cell_angle_beta 90.00
_cell_angle_gamma 90.00
_space_group_name_H-M_alt 'F m -3 m'
_space_group_IT_number 225
_space_group_name_Hall '-F 4 2 3'
loop_
_atom_site_label
_atom_site_type_symbol
_atom_site_fract_x
_atom_site_fract_y
_atom_site_fract_z
Sc1 Sc 0.0000 0.0000 0.0000

---

# Lu2InPd2 | the Materials Project | meta-GGA r2SCAN | optimized geometry
# ΔE_f = -0.957 eV per atom
# M_tot = 0.0 μB/f.u.
# Calculated total energy = -149.4 eV/f.u.
# Crystal system = tetragonal
data_Lu2InPd2
_chemical_formula_sum 'Lu4 In2 Pd4'
_cell_length_a 7.6450
_cell_length_b 7.6450
_cell_length_c 3.5375
_cell_angle_alpha 90.00
_cell_angle_beta 90.00
_cell_angle_gamma 90.00
_space_group_name_H-M_alt 'P 4/m b m'
_space_group_IT_number 127
_space_group_name_Hall '-P 4 2ab'
loop_
_atom_site_label
_atom_site_type_symbol
_atom_site_fract_x
_atom_site_fract_y
_atom_site_fract_z
Lu1 Lu 0.1717 0.3283 0.0000
In1 In 0.0000 0.0000 0.5000
Pd1 Pd 0.1286 0.6286 0.5000

---

# Ti2S3 | the Materials Project | meta-GGA r2SCAN | optimized geometry
# ΔE_f = -1.564 eV per atom
# M_tot = 0.4 μB/f.u.
# Calculated total energy = -57.8 eV/f.u.
# Crystal system = monoclinic
data_Ti2S3
_chemical_formula_sum 'Ti16 S24'
_cell_length_a 10.3644
_cell_length_b 5.9640
_cell_length_c 11.7927
_cell_angle_alpha 90.00
_cell_angle_beta 106.83
_cell_angle_gamma 90.00
_space_group_name_H-M_alt 'C 1 2/c 1'
_space_group_IT_number 15
_space_group_name_Hall '-C 2yc'
loop_
_atom_site_label
_atom_site_type_symbol
_atom_site_fract_x
_atom_site_fract_y
_atom_site_fract_z
Ti1 Ti 0.0452 0.0827 0.3825
Ti2 Ti 0.1242 0.4160 0.6209
S1 S 0.0000 0.4134 0.2500
S2 S 0.0880 0.2526 0.9991
S3 S 0.1644 0.0793 0.7477
S4 S 0.2500 0.2500 0.5000

---

# RbAgBr3 | the Materials Project | meta-GGA r2SCAN | optimized geometry
# ΔE_f = -1.050 eV per atom
# M_tot = 0.2 μB/f.u.
# Calculated total energy = -80.3 eV/f.u.
# Crystal system = monoclinic
data_RbAgBr3
_chemical_formula_sum 'Rb2 Ag2 Br6'
_cell_length_a 7.5967
_cell_length_b 7.5960
_cell_length_c 5.3738
_cell_angle_alpha 90.00
_cell_angle_beta 90.06
_cell_angle_gamma 90.00
_space_group_name_H-M_alt 'C 1 m 1'
_space_group_IT_number 8
_space_group_name_Hall 'C -2y'
loop_
_atom_site_label
_atom_site_type_symbol
_atom_site_fract_x
_atom_site_fract_y
_atom_site_fract_z
Rb1 Rb 0.0000 0.0000 0.0000
Ag1 Ag 0.4992 0.0000 0.5071
Br1 Br 0.0014 0.5000 0.0070
Br2 Br 0.2481 0.2489 0.5062

---

# DyInAu | the Materials Project | meta-GGA r2SCAN | optimized geometry
# ΔE_f = -0.875 eV per atom
# M_tot = 0.0 μB/f.u.
# Calculated total energy = -107.8 eV/f.u.
# Crystal system = hexagonal
data_DyInAu
_chemical_formula_sum 'Dy3 In3 Au3'
_cell_length_a 7.6634
_cell_length_b 7.6634
_cell_length_c 4.0137
_cell_angle_alpha 90.00
_cell_angle_beta 90.00
_cell_angle_gamma 120.00
_space_group_name_H-M_alt 'P -6 2 m'
_space_group_IT_number 189
_space_group_name_Hall 'P -6 -2'
loop_
_atom_site_label
_atom_site_type_symbol
_atom_site_fract_x
_atom_site_fract_y
_atom_site_fract_z
Dy1 Dy 0.0000 0.5939 0.0000
In1 In 0.0000 0.2589 0.5000
Au1 Au 0.0000 0.0000 0.0000
Au2 Au 0.3333 0.6667 0.5000

---

# NdRh3C | the Materials Project | meta-GGA r2SCAN | optimized geometry
# ΔE_f = -0.446 eV per atom
# M_tot = 0.0 μB/f.u.
# Calculated total energy = -114.0 eV/f.u.
# Crystal system = cubic
data_NdRh3C
_chemical_formula_sum 'Nd1 Rh3 C1'
_cell_length_a 4.2069
_cell_length_b 4.2069
_cell_length_c 4.2069
_cell_angle_alpha 90.00
_cell_angle_beta 90.00
_cell_angle_gamma 90.00
_space_group_name_H-M_alt 'P m -3 m'
_space_group_IT_number 221
_space_group_name_Hall '-P 4 2 3'
loop_
_atom_site_label
_atom_site_type_symbol
_atom_site_fract_x
_atom_site_fract_y
_atom_site_fract_z
Nd1 Nd 0.0000 0.0000 0.0000
Rh1 Rh 0.0000 0.5000 0.5000
C1 C 0.5000 0.5000 0.5000

---

# Hg | the Materials Project | meta-GGA r2SCAN | optimized geometry
# ΔE_f = 0.011 eV per atom
# M_tot = 0.0 μB/f.u.
# Calculated total energy = -49.4 eV/f.u.
# Crystal system = trigonal
data_Hg
_chemical_formula_sum 'Hg3'
_cell_length_a 4.3470
_cell_length_b 4.3470
_cell_length_c 5.0806
_cell_angle_alpha 90.00
_cell_angle_beta 90.00
_cell_angle_gamma 120.00
_space_group_name_H-M_alt 'R -3 m'
_space_group_IT_number 166
_space_group_name_Hall '-R 3 2"'
loop_
_atom_site_label
_atom_site_type_symbol
_atom_site_fract_x
_atom_site_fract_y
_atom_site_fract_z
Hg1 Hg 0.0000 0.0000 0.0000

---

# Cs2Hg6S7 | the Materials Project | meta-GGA r2SCAN | optimized geometry
# ΔE_f = -0.497 eV per atom
# M_tot = 0.0 μB/f.u.
# Calculated total energy = -410.1 eV/f.u.
# Crystal system = tetragonal
data_Cs2Hg6S7
_chemical_formula_sum 'Cs4 Hg12 S14'
_cell_length_a 14.1647
_cell_length_b 14.1647
_cell_length_c 4.2204
_cell_angle_alpha 90.00
_cell_angle_beta 90.00
_cell_angle_gamma 90.00
_space_group_name_H-M_alt 'P 42 n m'
_space_group_IT_number 102
_space_group_name_Hall 'P 4n -2n'
loop_
_atom_site_label
_atom_site_type_symbol
_atom_site_fract_x
_atom_site_fract_y
_atom_site_fract_z
Cs1 Cs 0.1704 0.1704 0.0000
Hg1 Hg 0.0725 0.6532 0.0076
Hg2 Hg 0.0979 0.9022 0.6032
S1 S 0.0000 0.0000 0.2822
S2 S 0.0227 0.3084 0.5068
S3 S 0.1826 0.8174 0.9955

---

# HoMgGa | the Materials Project | meta-GGA r2SCAN | optimized geometry
# ΔE_f = -0.560 eV per atom
# M_tot = 0.0 μB/f.u.
# Calculated total energy = -50.2 eV/f.u.
# Crystal system = hexagonal
data_HoMgGa
_chemical_formula_sum 'Ho3 Mg3 Ga3'
_cell_length_a 7.1999
_cell_length_b 7.1999
_cell_length_c 4.4050
_cell_angle_alpha 90.00
_cell_angle_beta 90.00
_cell_angle_gamma 120.00
_space_group_name_H-M_alt 'P -6 2 m'
_space_group_IT_number 189
_space_group_name_Hall 'P -6 -2'
loop_
_atom_site_label
_atom_site_type_symbol
_atom_site_fract_x
_atom_site_fract_y
_atom_site_fract_z
Ho1 Ho 0.0000 0.5739 0.0000
Mg1 Mg 0.0000 0.2443 0.5000
Ga1 Ga 0.0000 0.0000 0.0000
Ga2 Ga 0.3333 0.6667 0.5000

---

# Tm12In2Fe3 | the Materials Project | meta-GGA r2SCAN | optimized geometry
# ΔE_f = -0.170 eV per atom
# M_tot = 0.6 μB/f.u.
# Calculated total energy = -512.7 eV/f.u.
# Crystal system = tetragonal
data_Tm12In2Fe3
_chemical_formula_sum 'Tm24 In4 Fe6'
_cell_length_a 9.5730
_cell_length_b 9.5730
_cell_length_c 9.3835
_cell_angle_alpha 90.00
_cell_angle_beta 90.00
_cell_angle_gamma 90.00
_space_group_name_H-M_alt 'I 4/m m m'
_space_group_IT_number 139
_space_group_name_Hall '-I 4 2'
loop_
_atom_site_label
_atom_site_type_symbol
_atom_site_fract_x
_atom_site_fract_y
_atom_site_fract_z
Tm1 Tm 0.0000 0.2397 0.1907
Tm2 Tm 0.1917 0.1917 0.5000
In1 In 0.0000 0.5000 0.0000
Fe1 Fe 0.0000 0.0000 0.0000
Fe2 Fe 0.0000 0.0000 0.3800

---

# CeCoC2 | the Materials Project | meta-GGA r2SCAN | optimized geometry
# ΔE_f = -0.338 eV per atom
# M_tot = 0.8 μB/f.u.
# Calculated total energy = -65.3 eV/f.u.
# Crystal system = monoclinic
data_CeCoC2
_chemical_formula_sum 'Ce4 Co4 C8'
_cell_length_a 5.3239
_cell_length_b 5.3368
_cell_length_c 7.3563
_cell_angle_alpha 90.00
_cell_angle_beta 101.34
_cell_angle_gamma 90.00
_space_group_name_H-M_alt 'C 1 c 1'
_space_group_IT_number 9
_space_group_name_Hall 'C -2yc'
loop_
_atom_site_label
_atom_site_type_symbol
_atom_site_fract_x
_atom_site_fract_y
_atom_site_fract_z
Ce1 Ce 0.0000 0.0687 0.0000
Co1 Co 0.0558 0.4298 0.6947
C1 C 0.3278 0.1821 0.7732
C2 C 0.4813 0.0762 0.9268

---

# SO2 | the Materials Project | meta-GGA r2SCAN | optimized geometry
# ΔE_f = -1.064 eV per atom
# M_tot = 0.0 μB/f.u.
# Calculated total energy = -23.2 eV/f.u.
# Crystal system = orthorhombic
data_SO2
_chemical_formula_sum 'S4 O8'
_cell_length_a 5.9035
_cell_length_b 5.7980
_cell_length_c 6.1014
_cell_angle_alpha 90.00
_cell_angle_beta 90.00
_cell_angle_gamma 90.00
_space_group_name_H-M_alt 'A e a 2'
_space_group_IT_number 41
_space_group_name_Hall 'A 2 -2ab'
loop_
_atom_site_label
_atom_site_type_symbol
_atom_site_fract_x
_atom_site_fract_y
_atom_site_fract_z
S1 S 0.0000 0.0000 0.0000
O1 O 0.1420 0.1536 0.1238

---

# NbTeCl9 | the Materials Project | meta-GGA r2SCAN | optimized geometry
# ΔE_f = -1.037 eV per atom
# M_tot = 0.0 μB/f.u.
# Calculated total energy = -116.9 eV/f.u.
# Crystal system = triclinic
data_NbTeCl9
_chemical_formula_sum 'Nb2 Te2 Cl18'
_cell_length_a 6.5019
_cell_length_b 9.4081
_cell_length_c 11.4490
_cell_angle_alpha 105.64
_cell_angle_beta 105.61
_cell_angle_gamma 91.76
_space_group_name_H-M_alt 'P -1'
_space_group_IT_number 2
_space_group_name_Hall '-P 1'
loop_
_atom_site_label
_atom_site_type_symbol
_atom_site_fract_x
_atom_site_fract_y
_atom_site_fract_z
Nb1 Nb 0.1280 0.2588 0.2050
Te1 Te 0.3032 0.3347 0.6659
Cl1 Cl 0.0127 0.9590 0.7765
Cl2 Cl 0.0354 0.7965 0.4338
Cl3 Cl 0.1051 0.6086 0.6720
Cl4 Cl 0.1304 0.7515 0.9808
Cl5 Cl 0.2608 0.5085 0.2063
Cl6 Cl 0.2799 0.3663 0.8694
Cl7 Cl 0.3775 0.1531 0.1093
Cl8 Cl 0.3965 0.3044 0.4113
Cl9 Cl 0.4761 0.1200 0.6615

---

# Tm3Os | the Materials Project | meta-GGA r2SCAN | optimized geometry
# ΔE_f = -0.369 eV per atom
# M_tot = 0.0 μB/f.u.
# Calculated total energy = -159.8 eV/f.u.
# Crystal system = orthorhombic
data_Tm3Os
_chemical_formula_sum 'Tm12 Os4'
_cell_length_a 7.2988
_cell_length_b 8.8405
_cell_length_c 6.2061
_cell_angle_alpha 90.00
_cell_angle_beta 90.00
_cell_angle_gamma 90.00
_space_group_name_H-M_alt 'P n m a'
_space_group_IT_number 62
_space_group_name_Hall '-P 2ac 2n'
loop_
_atom_site_label
_atom_site_type_symbol
_atom_site_fract_x
_atom_site_fract_y
_atom_site_fract_z
Tm1 Tm 0.0402 0.2500 0.1261
Tm2 Tm 0.1734 0.0623 0.6680
Os1 Os 0.1173 0.7500 0.4649

---

# DyFe2B2 | the Materials Project | meta-GGA r2SCAN | optimized geometry
# ΔE_f = -0.329 eV per atom
# M_tot = 2.1 μB/f.u.
# Calculated total energy = -77.1 eV/f.u.
# Crystal system = tetragonal
data_DyFe2B2
_chemical_formula_sum 'Dy2 Fe4 B4'
_cell_length_a 3.5565
_cell_length_b 3.5565
_cell_length_c 9.5373
_cell_angle_alpha 90.00
_cell_angle_beta 90.00
_cell_angle_gamma 90.00
_space_group_name_H-M_alt 'I 4/m m m'
_space_group_IT_number 139
_space_group_name_Hall '-I 4 2'
loop_
_atom_site_label
_atom_site_type_symbol
_atom_site_fract_x
_atom_site_fract_y
_atom_site_fract_z
Dy1 Dy 0.0000 0.0000 0.0000
Fe1 Fe 0.0000 0.5000 0.2500
B1 B 0.0000 0.0000 0.3469

---

# BaGe3Rh | the Materials Project | meta-GGA r2SCAN | optimized geometry
# ΔE_f = -0.561 eV per atom
# M_tot = 0.0 μB/f.u.
# Calculated total energy = -95.1 eV/f.u.
# Crystal system = tetragonal
data_BaGe3Rh
_chemical_formula_sum 'Ba2 Ge6 Rh2'
_cell_length_a 4.5506
_cell_length_b 4.5506
_cell_length_c 10.3015
_cell_angle_alpha 90.00
_cell_angle_beta 90.00
_cell_angle_gamma 90.00
_space_group_name_H-M_alt 'I 4 m m'
_space_group_IT_number 107
_space_group_name_Hall 'I 4 -2'
loop_
_atom_site_label
_atom_site_type_symbol
_atom_site_fract_x
_atom_site_fract_y
_atom_site_fract_z
Ba1 Ba 0.0000 0.0000 0.0000
Ge1 Ge 0.0000 0.0000 0.4071
Ge2 Ge 0.0000 0.5000 0.2519
Rh1 Rh 0.0000 0.0000 0.6506